Entry 1:
Compound: Li7MnO4F2
Source: the Materials Project
Functional: PBE with a Hubbard U
Structure: optimized geometry

Lattice parameters (Å, degrees): 5.428 5.778 10.039 105.19 87.18 115.50
Fractional coordinates of all 28 atoms:
Li  0.053  0.964  0.765
Li  0.485  0.376  0.252
Li  0.532  0.046  0.611
Li  0.968  0.449  0.884
Li  0.054  0.790  0.556
Li  0.528  0.291  0.042
Li  0.958  0.642  0.336
Li  0.474  0.756  0.941
Li  0.958  0.196  0.469
Li  0.989  0.505  0.110
Li  0.493  0.973  0.383
Li  0.475  0.570  0.727
Li  0.004  0.099  0.253
Li  0.528  0.861  0.172
Mn  0.003  0.962  0.039
Mn  0.504  0.502  0.493
O  0.249  0.165  0.598
O  0.293  0.040  0.198
O  0.160  0.800  0.963
O  0.670  0.314  0.434
O  0.696  0.632  0.108
O  0.340  0.700  0.539
O  0.827  0.175  0.060
O  0.777  0.841  0.389
F  0.835  0.594  0.711
F  0.290  0.389  0.891
F  0.685  0.926  0.787
F  0.173  0.443  0.286

Properties
The final energy is -130.20 eV/cell. Its total moment is 0.00 μB/cell. The volume comes out at 9.769 Å³ per atom. For the formation energy from the elements, the calculation gives -40.02 kcal/mol of atoms. The value obtained for the excess energy over the best structure of this formula in the dataset is 0.604 eV per atom.

Entry 2:
Compound: LiMnOF2
Source: the Materials Project
Functional: PBE with a Hubbard U
Structure: optimized geometry

Lattice parameters (Å, degrees): 3.688 9.955 6.850 90.31 90.00 90.00
Fractional coordinates of all 20 atoms:
Li  0.250  0.784  0.446
Li  0.250  0.717  0.946
Li  0.750  0.283  0.054
Li  0.750  0.216  0.554
Mn  0.250  0.476  0.338
Mn  0.250  0.024  0.839
Mn  0.750  0.976  0.162
Mn  0.750  0.524  0.662
O  0.250  0.935  0.091
O  0.250  0.565  0.592
O  0.750  0.435  0.408
O  0.750  0.065  0.909
F  0.250  0.363  0.114
F  0.250  0.136  0.615
F  0.250  0.660  0.216
F  0.250  0.840  0.715
F  0.750  0.160  0.285
F  0.750  0.340  0.784
F  0.750  0.864  0.385
F  0.750  0.637  0.886

Properties
The final energy is -118.88 eV/cell. Its total moment is 16.00 μB/cell. The volume comes out at 12.576 Å³ per atom. For the formation energy from the elements, the calculation gives -60.65 kcal/mol of atoms. The value obtained for the excess energy over the best structure of this formula in the dataset is 0.044 eV per atom.

Entry 3:
Compound: Li2MnO2F
Source: the Materials Project
Functional: PBE with a Hubbard U
Structure: optimized geometry

Lattice parameters (Å, degrees): 4.060 8.957 5.941 90.00 90.00 90.00
Fractional coordinates of all 24 atoms:
Li  0.250  0.746  0.861
Li  0.250  0.754  0.361
Li  0.750  0.246  0.639
Li  0.750  0.254  0.139
Li  0.250  0.412  0.888
Li  0.250  0.088  0.388
Li  0.750  0.912  0.612
Li  0.750  0.588  0.112
Mn  0.750  0.597  0.612
Mn  0.750  0.903  0.113
Mn  0.250  0.097  0.888
Mn  0.250  0.403  0.387
O  0.250  0.573  0.605
O  0.250  0.927  0.105
O  0.750  0.073  0.895
O  0.750  0.427  0.395
O  0.250  0.241  0.654
O  0.250  0.259  0.154
O  0.750  0.740  0.846
O  0.750  0.759  0.346
F  0.250  0.919  0.616
F  0.250  0.581  0.116
F  0.750  0.419  0.884
F  0.750  0.081  0.384

Properties
The final energy is -143.86 eV/cell. Its total moment is 0.00 μB/cell. The volume comes out at 9.002 Å³ per atom. For the formation energy from the elements, the calculation gives -56.42 kcal/mol of atoms. The value obtained for the excess energy over the best structure of this formula in the dataset is 0.041 eV per atom.

Entry 4:
Compound: Li2MnO2F
Source: the Materials Project
Functional: PBE with a Hubbard U
Structure: optimized geometry

Lattice parameters (Å, degrees): 3.915 3.918 15.155 89.99 90.00 90.00
Fractional coordinates of all 24 atoms:
Li  0.500  0.500  0.003
Li  0.000  0.500  0.503
Li  0.500  0.000  0.164
Li  0.000  0.000  0.664
Li  0.500  0.500  0.314
Li  0.000  0.500  0.813
Li  0.000  0.000  0.353
Li  0.500  0.000  0.853
Mn  0.500  0.000  0.502
Mn  0.000  0.500  0.164
Mn  0.000  0.000  0.002
Mn  0.500  0.500  0.664
O  0.000  0.000  0.487
O  0.500  0.000  0.986
O  0.500  0.500  0.180
O  0.000  0.500  0.680
O  0.000  0.500  0.016
O  0.500  0.500  0.516
O  0.000  0.000  0.150
O  0.500  0.000  0.650
F  0.000  0.500  0.320
F  0.500  0.500  0.820
F  0.500  0.000  0.347
F  0.000  0.000  0.847

Properties
The final energy is -143.23 eV/cell. Its total moment is 0.00 μB/cell. The volume comes out at 9.687 Å³ per atom. For the formation energy from the elements, the calculation gives -55.81 kcal/mol of atoms. The value obtained for the excess energy over the best structure of this formula in the dataset is 0.068 eV per atom.

Entry 5:
Compound: Li4Mn8O9F7
Source: the Materials Project
Functional: PBE with a Hubbard U
Structure: optimized geometry

Lattice parameters (Å, degrees): 5.842 6.222 10.939 75.13 74.83 62.49
Fractional coordinates of all 28 atoms:
Li  0.700  0.641  0.449
Li  0.820  0.845  0.056
Li  0.201  0.136  0.952
Li  0.293  0.365  0.550
Mn  0.487  0.509  0.002
Mn  0.240  0.271  0.242
Mn  0.749  0.248  0.753
Mn  0.247  0.748  0.246
Mn  0.998  0.002  0.499
Mn  0.251  0.748  0.749
Mn  0.751  0.748  0.749
Mn  0.747  0.253  0.249
O  0.142  0.644  0.133
O  0.909  0.326  0.360
O  0.612  0.616  0.656
O  0.115  0.099  0.161
O  0.591  0.174  0.140
O  0.409  0.825  0.860
O  0.381  0.406  0.340
O  0.092  0.676  0.636
O  0.892  0.879  0.842
F  0.615  0.144  0.617
F  0.123  0.145  0.617
F  0.642  0.633  0.122
F  0.865  0.865  0.382
F  0.374  0.355  0.881
F  0.377  0.841  0.371
F  0.877  0.358  0.886

Properties
The final energy is -184.25 eV/cell. Its total moment is 35.00 μB/cell. The volume comes out at 12.001 Å³ per atom. For the formation energy from the elements, the calculation gives -56.12 kcal/mol of atoms.

Entry 6:
Compound: LiMnOF2
Source: the Materials Project
Functional: PBE with a Hubbard U
Structure: optimized geometry

Lattice parameters (Å, degrees): 5.356 5.443 5.076 114.43 58.15 119.53
Fractional coordinates of all 10 atoms:
Li  0.409  0.343  0.446
Li  0.983  0.840  0.944
Mn  0.734  0.213  0.736
Mn  0.239  0.714  0.236
O  0.363  0.997  0.025
O  0.104  0.498  0.526
F  0.008  0.010  0.654
F  0.633  0.965  0.333
F  0.495  0.466  0.834
F  0.843  0.509  0.155

Properties
The final energy is -59.26 eV/cell. Its total moment is 8.00 μB/cell. The volume comes out at 10.698 Å³ per atom. For the formation energy from the elements, the calculation gives -60.24 kcal/mol of atoms. For the maximum piezoelectric response, the calculation gives 0.558 C/m². The value obtained for the excess energy over the best structure of this formula in the dataset is 0.062 eV per atom.